(1)
# CuH4SeO5

CuH4SeO5 after structural relaxation (PBE-GGA, the Materials Project).

Cell lengths 6.668, 7.490, 9.319 Å; angles 90.00, 90.00, 90.00 degrees
Positions (direct):
1 Cu 0.229 0.033 0.101
2 Cu 0.271 0.967 0.601
3 Cu 0.729 0.467 0.899
4 Cu 0.771 0.533 0.399
5 H 0.014 0.445 0.153
6 H 0.075 0.642 0.183
7 H 0.129 0.307 0.942
8 H 0.184 0.630 0.538
9 H 0.316 0.370 0.038
10 H 0.371 0.693 0.442
11 H 0.425 0.358 0.683
12 H 0.486 0.555 0.653
13 H 0.514 0.055 0.847
14 H 0.575 0.858 0.817
15 H 0.629 0.193 0.058
16 H 0.684 0.870 0.462
17 H 0.816 0.130 0.962
18 H 0.871 0.807 0.558
19 H 0.925 0.142 0.317
20 H 0.986 0.945 0.347
21 Se 0.021 0.796 0.861
22 Se 0.479 0.204 0.361
23 Se 0.521 0.704 0.139
24 Se 0.979 0.296 0.639
25 O 0.001 0.983 0.971
26 O 0.015 0.897 0.691
27 O 0.042 0.059 0.310
28 O 0.195 0.289 0.037
29 O 0.226 0.223 0.639
30 O 0.274 0.777 0.139
31 O 0.305 0.711 0.537
32 O 0.458 0.941 0.810
33 O 0.485 0.103 0.191
34 O 0.499 0.017 0.471
35 O 0.501 0.517 0.029
36 O 0.515 0.603 0.309
37 O 0.542 0.441 0.690
38 O 0.695 0.211 0.963
39 O 0.726 0.277 0.361
40 O 0.774 0.723 0.861
41 O 0.805 0.789 0.463
42 O 0.958 0.559 0.190
43 O 0.985 0.397 0.809
44 O 0.999 0.483 0.529

Output
* E_tot: -5.049 eV per atom
* calculated volume: 10.6 Å³ per atom
* total magnetization: 4.00 μB/cell
* DFT formation energy: -1.19 eV/atom



(2)
# Sr2CuH2Se4O12

Sr2CuH2Se4O12 after structural relaxation (PBE-GGA, the Materials Project).

Cell lengths 5.383, 7.290, 9.211 Å; angles 68.10, 75.43, 80.55 degrees
Positions (direct):
1 Sr 0.167 0.190 0.061
2 Sr 0.833 0.810 0.939
3 Cu 0.000 0.000 0.500
4 H 0.376 0.568 0.764
5 H 0.624 0.432 0.236
6 Se 0.190 0.559 0.272
7 Se 0.402 0.029 0.688
8 Se 0.598 0.971 0.312
9 Se 0.810 0.441 0.728
10 O 0.115 0.534 0.113
11 O 0.119 0.800 0.252
12 O 0.203 0.872 0.671
13 O 0.302 0.114 0.337
14 O 0.340 0.960 0.891
15 O 0.452 0.430 0.793
16 O 0.548 0.570 0.207
17 O 0.660 0.040 0.109
18 O 0.698 0.886 0.663
19 O 0.797 0.128 0.329
20 O 0.881 0.200 0.748
21 O 0.885 0.466 0.887

Output
* E_tot: -5.513 eV per atom
* calculated volume: 15.4 Å³ per atom
* relative energy among the computed polymorphs: 0 meV/atom
* total magnetization: 1.00 μB/cell
* DFT formation energy: -1.73 eV/atom



(3)
# Sr2CuH2Se4O12

Sr2CuH2Se4O12 after structural relaxation (PBE-GGA, the Materials Project).

Cell lengths 5.815, 7.158, 9.011 Å; angles 72.86, 71.33, 80.94 degrees
Positions (direct):
1 Sr 0.106 0.206 0.080
2 Sr 0.894 0.794 0.920
3 Cu 0.000 0.000 0.500
4 H 0.308 0.825 0.641
5 H 0.692 0.175 0.359
6 Se 0.202 0.560 0.272
7 Se 0.458 0.123 0.707
8 Se 0.542 0.877 0.293
9 Se 0.798 0.440 0.728
10 O 0.022 0.297 0.641
11 O 0.152 0.797 0.640
12 O 0.154 0.555 0.096
13 O 0.246 0.001 0.870
14 O 0.313 0.063 0.315
15 O 0.455 0.752 0.168
16 O 0.545 0.248 0.832
17 O 0.687 0.937 0.685
18 O 0.754 0.999 0.130
19 O 0.846 0.445 0.904
20 O 0.848 0.203 0.360
21 O 0.978 0.703 0.359

Output
* E_tot: -5.437 eV per atom
* calculated volume: 16.1 Å³ per atom
* relative energy among the computed polymorphs: 77 meV/atom
* total magnetization: 1.00 μB/cell
* DFT formation energy: -1.66 eV/atom



(4)
# TlCu2HSe2O10

TlCu2HSe2O10 after structural relaxation (PBE-GGA, the Materials Project).

Cell lengths 5.461, 5.461, 8.906 Å; angles 111.12, 111.12, 69.61 degrees
Positions (direct):
1 Tl 0.000 0.000 0.000
2 Cu 0.000 0.500 0.500
3 Cu 0.500 0.000 0.500
4 H 0.000 0.000 0.500
5 Se 0.444 0.444 0.234
6 Se 0.556 0.556 0.766
7 O 0.151 0.151 0.540
8 O 0.207 0.658 0.715
9 O 0.331 0.331 0.339
10 O 0.335 0.335 0.030
11 O 0.342 0.793 0.285
12 O 0.658 0.207 0.715
13 O 0.665 0.665 0.970
14 O 0.669 0.669 0.661
15 O 0.793 0.342 0.285
16 O 0.849 0.849 0.460

Output
* E_tot: -4.994 eV per atom
* calculated volume: 14.0 Å³ per atom
* total magnetization: 0.00 μB/cell
* DFT formation energy: -1.02 eV/atom



(5)
# TlCuHSeO5

TlCuHSeO5 after structural relaxation (PBE-GGA, the Materials Project).

Cell lengths 4.666, 6.108, 9.363 Å; angles 90.00, 97.38, 90.00 degrees
Positions (direct):
1 Tl 0.092 0.250 0.385
2 Tl 0.908 0.750 0.615
3 Cu 0.000 0.000 0.000
4 Cu 0.000 0.500 0.000
5 H 0.396 0.250 0.111
6 H 0.604 0.750 0.889
7 Se 0.487 0.250 0.767
8 Se 0.513 0.750 0.233
9 O 0.184 0.250 0.101
10 O 0.250 0.750 0.078
11 O 0.298 0.021 0.782
12 O 0.298 0.479 0.782
13 O 0.349 0.750 0.380
14 O 0.651 0.250 0.620
15 O 0.702 0.521 0.218
16 O 0.702 0.979 0.218
17 O 0.750 0.250 0.922
18 O 0.816 0.750 0.899

Output
* E_tot: -4.982 eV per atom
* calculated volume: 14.7 Å³ per atom
* total magnetization: 1.98 μB/cell
* DFT formation energy: -1.13 eV/atom



(6)
# Cu5Si4H2O14

Cu5Si4H2O14 after structural relaxation (PBE-GGA, the Materials Project).

Cell lengths 5.339, 21.270, 10.509 Å; angles 90.00, 90.00, 90.00 degrees
Positions (direct):
1 Cu 0.000 0.000 0.000
2 Cu 0.000 0.500 0.500
3 Cu 0.022 0.028 0.317
4 Cu 0.022 0.472 0.817
5 Cu 0.026 0.220 0.252
6 Cu 0.026 0.280 0.752
7 Cu 0.474 0.720 0.252
8 Cu 0.474 0.780 0.752
9 Cu 0.478 0.528 0.317
10 Cu 0.478 0.972 0.817
11 Cu 0.500 0.000 0.500
12 Cu 0.500 0.500 0.000
13 Cu 0.522 0.028 0.183
14 Cu 0.522 0.472 0.683
15 Cu 0.526 0.220 0.248
16 Cu 0.526 0.280 0.748
17 Cu 0.974 0.720 0.248
18 Cu 0.974 0.780 0.748
19 Cu 0.978 0.528 0.183
20 Cu 0.978 0.972 0.683
21 Si 0.226 0.633 0.055
22 Si 0.226 0.867 0.555
23 Si 0.235 0.660 0.599
24 Si 0.235 0.840 0.099
25 Si 0.265 0.160 0.599
26 Si 0.265 0.340 0.099
27 Si 0.274 0.133 0.055
28 Si 0.274 0.367 0.555
29 Si 0.726 0.633 0.445
30 Si 0.726 0.867 0.945
31 Si 0.735 0.660 0.901
32 Si 0.735 0.840 0.401
33 Si 0.765 0.160 0.901
34 Si 0.765 0.340 0.401
35 Si 0.774 0.133 0.445
36 Si 0.774 0.367 0.945
37 H 0.173 0.582 0.742
38 H 0.173 0.918 0.242
39 H 0.327 0.082 0.742
40 H 0.327 0.418 0.242
41 H 0.673 0.582 0.758
42 H 0.673 0.918 0.258
43 H 0.827 0.082 0.758
44 H 0.827 0.418 0.258
45 O 0.024 0.167 0.505
46 O 0.024 0.333 0.005
47 O 0.026 0.160 0.981
48 O 0.026 0.340 0.481
49 O 0.141 0.515 0.338
50 O 0.141 0.985 0.838
51 O 0.212 0.093 0.673
52 O 0.212 0.407 0.173
53 O 0.212 0.556 0.048
54 O 0.212 0.944 0.548
55 O 0.223 0.720 0.697
56 O 0.223 0.780 0.197
57 O 0.230 0.657 0.204
58 O 0.230 0.843 0.704
59 O 0.270 0.157 0.204
60 O 0.270 0.343 0.704
61 O 0.277 0.220 0.697
62 O 0.277 0.280 0.197
63 O 0.288 0.056 0.048
64 O 0.288 0.444 0.548
65 O 0.288 0.593 0.673
66 O 0.288 0.907 0.173
67 O 0.359 0.015 0.338
68 O 0.359 0.485 0.838
69 O 0.474 0.660 0.981
70 O 0.474 0.840 0.481
71 O 0.476 0.667 0.505
72 O 0.476 0.833 0.005
73 O 0.524 0.167 0.995
74 O 0.524 0.333 0.495
75 O 0.526 0.160 0.519
76 O 0.526 0.340 0.019
77 O 0.641 0.515 0.162
78 O 0.641 0.985 0.662
79 O 0.712 0.093 0.827
80 O 0.712 0.407 0.327
81 O 0.712 0.556 0.452
82 O 0.712 0.944 0.952
83 O 0.723 0.720 0.803
84 O 0.723 0.780 0.303
85 O 0.730 0.657 0.296
86 O 0.730 0.843 0.796
87 O 0.770 0.157 0.296
88 O 0.770 0.343 0.796
89 O 0.777 0.220 0.803
90 O 0.777 0.280 0.303
91 O 0.788 0.056 0.452
92 O 0.788 0.444 0.952
93 O 0.788 0.593 0.827
94 O 0.788 0.907 0.327
95 O 0.859 0.015 0.162
96 O 0.859 0.485 0.662
97 O 0.974 0.660 0.519
98 O 0.974 0.840 0.019
99 O 0.976 0.667 0.995
100 O 0.976 0.833 0.495

Output
* E_tot: -6.323 eV per atom
* calculated volume: 11.9 Å³ per atom
* total magnetization: 12.00 μB/cell
* DFT formation energy: -1.98 eV/atom



(7)
# CuSiH2O4

CuSiH2O4 after structural relaxation (PBE-GGA, the Materials Project).

Cell lengths 8.907, 8.907, 8.907 Å; angles 111.81, 111.81, 111.81 degrees
Positions (direct):
1 Cu 0.030 0.838 0.439
2 Cu 0.162 0.561 0.970
3 Cu 0.439 0.030 0.838
4 Cu 0.561 0.970 0.162
5 Cu 0.838 0.439 0.030
6 Cu 0.970 0.162 0.561
7 Si 0.283 0.676 0.417
8 Si 0.324 0.583 0.717
9 Si 0.417 0.283 0.676
10 Si 0.583 0.717 0.324
11 Si 0.676 0.417 0.283
12 Si 0.717 0.324 0.583
13 H 0.012 0.191 0.919
14 H 0.020 0.252 0.303
15 H 0.081 0.988 0.809
16 H 0.191 0.919 0.012
17 H 0.252 0.303 0.020
18 H 0.303 0.020 0.252
19 H 0.697 0.980 0.748
20 H 0.748 0.697 0.980
21 H 0.809 0.081 0.988
22 H 0.919 0.012 0.191
23 H 0.980 0.748 0.697
24 H 0.988 0.809 0.081
25 O 0.107 0.884 0.795
26 O 0.116 0.205 0.893
27 O 0.125 0.551 0.176
28 O 0.134 0.455 0.715
29 O 0.176 0.125 0.551
30 O 0.205 0.893 0.116
31 O 0.236 0.526 0.488
32 O 0.285 0.866 0.545
33 O 0.449 0.824 0.875
34 O 0.455 0.715 0.134
35 O 0.474 0.512 0.764
36 O 0.488 0.236 0.526
37 O 0.512 0.764 0.474
38 O 0.526 0.488 0.236
39 O 0.545 0.285 0.866
40 O 0.551 0.176 0.125
41 O 0.715 0.134 0.455
42 O 0.764 0.474 0.512
43 O 0.795 0.107 0.884
44 O 0.824 0.875 0.449
45 O 0.866 0.545 0.285
46 O 0.875 0.449 0.824
47 O 0.884 0.795 0.107
48 O 0.893 0.116 0.205

Output
* E_tot: -6.052 eV per atom
* calculated volume: 10.2 Å³ per atom
* total magnetization: 6.00 μB/cell
* DFT formation energy: -1.88 eV/atom



(8)
# SrCuH6O5

SrCuH6O5 after structural relaxation (PBE-GGA, the Materials Project).

Cell lengths 5.467, 6.297, 7.977 Å; angles 90.00, 107.79, 90.00 degrees
Positions (direct):
1 Sr 0.000 0.051 0.250
2 Sr 0.000 0.949 0.750
3 Cu 0.000 0.500 0.000
4 Cu 0.000 0.500 0.500
5 H 0.337 0.236 0.024
6 H 0.337 0.764 0.524
7 H 0.367 0.447 0.394
8 H 0.367 0.553 0.894
9 H 0.432 0.206 0.646
10 H 0.432 0.794 0.146
11 H 0.568 0.206 0.854
12 H 0.568 0.794 0.354
13 H 0.633 0.447 0.106
14 H 0.633 0.553 0.606
15 H 0.663 0.236 0.476
16 H 0.663 0.764 0.976
17 O 0.151 0.222 0.000
18 O 0.151 0.778 0.500
19 O 0.283 0.342 0.448
20 O 0.283 0.658 0.948
21 O 0.500 0.111 0.750
22 O 0.500 0.889 0.250
23 O 0.717 0.342 0.052
24 O 0.717 0.658 0.552
25 O 0.849 0.222 0.500
26 O 0.849 0.778 0.000

Output
* E_tot: -5.186 eV per atom
* calculated volume: 10.1 Å³ per atom
* total magnetization: 2.00 μB/cell
* DFT formation energy: -1.54 eV/atom



(9)
# Hf2Cu

Hf2Cu after structural relaxation (PBE-GGA, the Materials Project).

Cell lengths 6.029, 6.029, 6.029 Å; angles 149.50, 149.50, 43.67 degrees
Positions (direct):
1 Hf 0.156 0.156 0.000
2 Hf 0.844 0.844 0.000
3 Cu 0.500 0.500 0.000

Output
* E_tot: -8.164 eV per atom
* calculated volume: 18.8 Å³ per atom
* DFT formation energy: -0.16 eV/atom



(10)
# HfCuHg2

HfCuHg2 after structural relaxation (PBE-GGA, the Materials Project).

Cell lengths 4.752, 4.752, 4.752 Å; angles 60.00, 60.00, 60.00 degrees
Positions (direct):
1 Hf 0.000 0.000 0.000
2 Cu 0.250 0.250 0.250
3 Hg 0.500 0.500 0.500
4 Hg 0.750 0.750 0.750

Output
* E_tot: -3.524 eV per atom
* calculated volume: 19.0 Å³ per atom
* total magnetization: 0.00 μB/cell
* DFT formation energy: 0.14 eV/atom



(11)
# HfInCu2

HfInCu2 after structural relaxation (PBE-GGA, the Materials Project).

Cell lengths 3.205, 3.205, 6.593 Å; angles 90.00, 90.00, 90.00 degrees
Positions (direct):
1 Hf 0.000 0.000 0.000
2 In 0.000 0.000 0.500
3 Cu 0.500 0.500 0.247
4 Cu 0.500 0.500 0.753

Output
* E_tot: -5.258 eV per atom
* calculated volume: 16.9 Å³ per atom
* total magnetization: 0.02 μB/cell
* DFT formation energy: -0.03 eV/atom



(12)
# Hf2InCu2

Hf2InCu2 after structural relaxation (PBE-GGA, the Materials Project).

Cell lengths 7.167, 7.167, 6.893 Å; angles 90.00, 90.00, 90.00 degrees
Positions (direct):
1 Hf 0.157 0.157 0.000
2 Hf 0.186 0.186 0.500
3 Hf 0.314 0.686 0.000
4 Hf 0.343 0.657 0.500
5 Hf 0.657 0.343 0.500
6 Hf 0.686 0.314 0.000
7 Hf 0.814 0.814 0.500
8 Hf 0.843 0.843 0.000
9 In 0.000 0.500 0.250
10 In 0.000 0.500 0.750
11 In 0.500 0.000 0.250
12 In 0.500 0.000 0.750
13 Cu 0.124 0.876 0.280
14 Cu 0.124 0.876 0.720
15 Cu 0.376 0.376 0.220
16 Cu 0.376 0.376 0.780
17 Cu 0.624 0.624 0.220
18 Cu 0.624 0.624 0.780
19 Cu 0.876 0.124 0.280
20 Cu 0.876 0.124 0.720

Output
* E_tot: -6.394 eV per atom
* calculated volume: 17.7 Å³ per atom
* DFT formation energy: -0.22 eV/atom



(13)
# HfMg14Cu

HfMg14Cu after structural relaxation (PBE-GGA, the Materials Project).

Cell lengths 6.326, 6.326, 10.029 Å; angles 90.00, 90.00, 120.00 degrees
Positions (direct):
1 Hf 0.000 0.000 0.000
2 Mg 0.009 0.505 0.000
3 Mg 0.160 0.320 0.257
4 Mg 0.160 0.320 0.743
5 Mg 0.160 0.840 0.257
6 Mg 0.160 0.840 0.743
7 Mg 0.495 0.505 0.000
8 Mg 0.495 0.991 0.000
9 Mg 0.501 0.003 0.500
10 Mg 0.501 0.499 0.500
11 Mg 0.667 0.333 0.246
12 Mg 0.667 0.333 0.754
13 Mg 0.680 0.840 0.257
14 Mg 0.680 0.840 0.743
15 Mg 0.997 0.499 0.500
16 Cu 0.000 0.000 0.500

Output
* E_tot: -2.219 eV per atom
* calculated volume: 21.7 Å³ per atom
* total magnetization: 0.00 μB/cell
* DFT formation energy: 0.06 eV/atom